[1]
The following is a DFT calculation (GGA+U) of a relaxed Li7Fe4P6O24 crystal.

Cell lengths 9.803, 9.803, 9.744 Å; angles 88.12, 88.12, 88.09 degrees
Positions (direct):
O 0.304 0.412 0.304
O 0.894 0.031 0.112
O 0.710 0.588 0.707
O 0.376 0.895 0.171
O 0.446 0.102 0.285
O 0.917 0.802 0.295
O 0.197 0.090 0.196
O 0.893 0.622 0.476
O 0.115 0.624 0.330
O 0.595 0.771 0.462
O 0.895 0.376 0.671
O 0.042 0.719 0.903
O 0.099 0.972 0.887
O 0.833 0.123 0.609
O 0.031 0.894 0.612
O 0.550 0.905 0.724
O 0.394 0.116 0.030
O 0.123 0.833 0.109
O 0.292 0.802 0.906
O 0.215 0.400 0.055
O 0.609 0.522 0.382
O 0.400 0.215 0.555
O 0.090 0.197 0.696
O 0.719 0.042 0.403
O 0.195 0.699 0.586
O 0.668 0.387 0.879
O 0.622 0.893 0.976
O 0.383 0.469 0.608
O 0.330 0.606 0.122
O 0.606 0.330 0.622
O 0.588 0.710 0.207
O 0.699 0.195 0.086
O 0.905 0.550 0.224
O 0.168 0.877 0.386
O 0.771 0.595 0.962
O 0.522 0.609 0.882
O 0.469 0.383 0.108
O 0.387 0.668 0.379
O 0.972 0.099 0.387
O 0.624 0.115 0.830
O 0.116 0.394 0.530
O 0.877 0.168 0.886
O 0.946 0.285 0.093
O 0.102 0.446 0.785
O 0.802 0.917 0.795
O 0.802 0.292 0.406
O 0.285 0.946 0.593
O 0.412 0.304 0.804
Li 0.832 0.783 0.958
Li 0.354 0.949 0.776
Li 0.467 0.288 0.348
Li 0.220 0.149 0.539
Li 0.033 0.655 0.714
Li 0.995 0.503 0.001
Li 0.949 0.354 0.276
Li 0.554 0.718 0.661
Li 0.718 0.554 0.161
Li 0.149 0.220 0.039
Li 0.655 0.033 0.214
Li 0.783 0.832 0.458
Li 0.288 0.467 0.848
Li 0.503 0.995 0.501
P 0.326 0.448 0.148
P 0.173 0.853 0.547
P 0.549 0.668 0.357
P 0.140 0.828 0.947
P 0.828 0.140 0.447
P 0.955 0.649 0.331
P 0.353 0.054 0.174
P 0.853 0.173 0.047
P 0.649 0.955 0.831
P 0.668 0.549 0.857
P 0.448 0.326 0.648
P 0.054 0.353 0.674
Fe 0.470 0.752 0.030
Fe 0.257 0.750 0.244
Fe 0.969 0.031 0.747
Fe 0.752 0.470 0.530
Fe 0.251 0.530 0.470
Fe 0.530 0.251 0.970
Fe 0.750 0.257 0.744
Fe 0.031 0.969 0.247

Output
Offset from the most stable computed form: 23 meV/atom
Energy of formation: -101.68 eV/f.u.
Mass density: 3.0 g/cm3
Magnetic moment: 19.000 μB per formula unit

=====

[2]
The following is a DFT calculation (GGA+U) of a relaxed Li4Fe2P3O12 crystal.

Cell lengths 8.444, 8.459, 8.965 Å; angles 62.07, 61.95, 60.80 degrees
Positions (direct):
P 0.044 0.451 0.759
P 0.545 0.259 0.249
P 0.956 0.549 0.241
P 0.455 0.741 0.751
P 0.260 0.948 0.246
P 0.740 0.052 0.754
Li 0.845 0.201 0.961
Li 0.873 0.236 0.323
Li 0.241 0.561 0.356
Li 0.155 0.799 0.039
Li 0.416 0.136 0.679
Li 0.759 0.439 0.644
Li 0.127 0.764 0.677
Li 0.584 0.864 0.321
O 0.243 0.859 0.753
O 0.494 0.525 0.798
O 0.867 0.757 0.244
O 0.836 0.473 0.890
O 0.035 0.599 0.574
O 0.794 0.053 0.563
O 0.145 0.848 0.244
O 0.832 0.509 0.187
O 0.797 0.842 0.875
O 0.528 0.214 0.109
O 0.757 0.141 0.247
O 0.133 0.243 0.756
O 0.206 0.947 0.437
O 0.472 0.786 0.891
O 0.164 0.527 0.110
O 0.168 0.491 0.813
O 0.965 0.401 0.426
O 0.402 0.205 0.434
O 0.523 0.168 0.811
O 0.203 0.158 0.125
O 0.855 0.152 0.756
O 0.506 0.475 0.202
O 0.477 0.832 0.189
O 0.598 0.795 0.566
Fe 0.143 0.140 0.569
Fe 0.344 0.341 0.966
Fe 0.857 0.860 0.431
Fe 0.656 0.659 0.034

Output
Offset from the most stable computed form: 8 meV/atom
Energy of formation: -52.68 eV/f.u.
Mass density: 3.0 g/cm3
Magnetic moment: 9.000 μB per formula unit

=====

[3]
The following is a DFT calculation (GGA+U) of a relaxed LiFePO4 crystal.

Cell lengths 7.221, 7.222, 7.222 Å; angles 90.00, 90.00, 90.00 degrees
Positions (direct):
P 0.033 0.033 0.033
P 0.533 0.467 0.967
P 0.967 0.533 0.467
P 0.467 0.967 0.533
O 0.970 0.605 0.672
O 0.828 0.029 0.105
O 0.654 0.346 0.846
O 0.030 0.105 0.828
O 0.471 0.895 0.328
O 0.154 0.154 0.154
O 0.530 0.395 0.172
O 0.346 0.846 0.654
O 0.672 0.970 0.605
O 0.895 0.328 0.470
O 0.328 0.471 0.895
O 0.846 0.654 0.346
O 0.395 0.172 0.530
O 0.605 0.672 0.971
O 0.172 0.530 0.395
O 0.105 0.828 0.029
Li 0.197 0.697 0.803
Li 0.803 0.197 0.697
Li 0.303 0.303 0.303
Li 0.697 0.803 0.197
Fe 0.246 0.754 0.254
Fe 0.254 0.246 0.754
Fe 0.754 0.254 0.246
Fe 0.746 0.746 0.746

Output
Maximum piezoelectric response: 0.17 C/m²
Offset from the most stable computed form: 91 meV/atom
Energy of formation: -16.72 eV/f.u.
Mass density: 2.8 g/cm3
Magnetic moment: 0.000 μB per formula unit